No. 1
DFT (PBE+U) results for a relaxed Sr3Fe2O5 crystal.

Results
Polymorph energy (0 for the lowest one) ... 62 meV/atom
Total DFT energy (no corrections) ... -6.26 eV per atom
Corrected total energy (MP2020 scheme) ... -141.08 eV per cell

a = 5.3053 Å, b = 10.8102 Å, c = 5.3053 Å
α = 98.34°, β = 79.53°, γ = 98.34°
Closest atoms and distances in Å follow each position.
Fractional positions:
1 O 0.4042 0.6169 0.4042  1 Fe 2.02
2 O 0.0000 0.0000 0.0000  2 Fe 2.05
3 O 0.0958 0.3831 0.0958  1 Fe 2.02
4 O 0.5958 0.3831 0.5958  1 Fe 2.02
5 O 0.7980 0.1920 0.7980  2 Fe 2.04
6 O 0.5000 0.0000 0.5000  2 Fe 2.05
7 O 0.2980 0.1920 0.2980  2 Fe 2.04
8 O 0.2020 0.8080 0.2020  2 Fe 2.04
9 O 0.9042 0.6169 0.9042  1 Fe 2.02
10 O 0.7020 0.8080 0.7020  2 Fe 2.04
11 Sr 0.4063 0.6252 0.9063  6 O 2.58-2.65
12 Sr 0.0937 0.3748 0.5937  6 O 2.58-2.65
13 Sr 0.5000 0.0000 0.0000  8 O 2.65
14 Sr 0.5937 0.3748 0.0937  6 O 2.58-2.65
15 Sr 0.0000 0.0000 0.5000  8 O 2.65
16 Sr 0.9063 0.6252 0.4063  6 O 2.58-2.65
17 Fe 0.4517 0.8069 0.4517  4 O 2.02-2.05
18 Fe 0.5483 0.1931 0.5483  4 O 2.02-2.05
19 Fe 0.9517 0.8069 0.9517  4 O 2.02-2.05
20 Fe 0.0483 0.1931 0.0483  4 O 2.02-2.05

No. 2
DFT (PBE+U) results for a relaxed SrFe12O19 crystal.

Results
Polymorph energy (0 for the lowest one) ... 9 meV/atom
Total DFT energy (no corrections) ... -6.63 eV per atom
Corrected total energy (MP2020 scheme) ... -504.88 eV per cell
Crystal system ... hexagonal
Space group ... No. 186

a = 6.0111 Å, b = 6.0111 Å, c = 23.3561 Å
α = 90.00°, β = 90.00°, γ = 120.00°
Closest atoms and distances in Å follow each position.
Fractional positions:
1 Fe 0.6667 0.3333 0.9721  4 O 1.91-1.95
2 Fe 0.6580 0.8290 0.6096  6 O 1.96-2.14
3 Fe 0.8350 0.1650 0.3913  6 O 1.97-2.16
4 Fe 0.3333 0.6667 0.4721  4 O 1.91-1.95
5 Fe 0.1710 0.8290 0.6096  6 O 1.96-2.14
6 Fe 0.8290 0.6580 0.1096  6 O 1.96-2.14
7 Fe 0.0000 0.0000 0.2521  3 O 1.86
8 Fe 0.1650 0.3300 0.8913  6 O 1.97-2.16
9 Fe 0.0000 0.0000 0.0000  6 O 2.01-2.06
10 Fe 0.3333 0.6667 0.0284  4 O 1.95-1.98
11 Fe 0.3420 0.1710 0.1096  6 O 1.96-2.14
12 Fe 0.3333 0.6667 0.1910  6 O 1.99-2.12
13 Fe 0.0000 0.0000 0.5000  6 O 2.01-2.06
14 Fe 0.6667 0.3333 0.6910  6 O 1.99-2.12
15 Fe 0.1650 0.8350 0.8913  6 O 1.97-2.16
16 Fe 0.8350 0.6700 0.3913  6 O 1.97-2.16
17 Fe 0.0000 0.0000 0.7521  3 O 1.86
18 Fe 0.8290 0.1710 0.1096  6 O 1.96-2.14
19 Fe 0.3333 0.6667 0.3088  6 O 2.06-2.11
20 Fe 0.6667 0.3333 0.5284  4 O 1.95-1.98
21 Fe 0.6700 0.8350 0.8913  6 O 1.97-2.16
22 Fe 0.1710 0.3420 0.6096  6 O 1.96-2.14
23 Fe 0.3300 0.1650 0.3913  6 O 1.97-2.16
24 Fe 0.6667 0.3333 0.8088  6 O 2.06-2.11
25 O 0.4901 0.9803 0.8483  3 Fe 1.97-2.06
26 O 0.0197 0.5099 0.8483  3 Fe 1.97-2.06
27 O 0.6831 0.8415 0.4469  4 Fe 1.91-2.13
28 O 0.3032 0.1516 0.5531  4 Fe 1.98-2.14
29 O 0.8415 0.1585 0.9469  4 Fe 1.91-2.13
30 O 0.0000 0.0000 0.8478  3 Fe 2.00
31 O 0.9949 0.4975 0.1515  3 Fe 1.96-1.99
32 O 0.1585 0.3169 0.4469  4 Fe 1.91-2.13
33 O 0.4975 0.5025 0.6515  3 Fe 1.96-1.99
34 O 0.8211 0.1789 0.7504  1 Fe 1.86
35 O 0.8484 0.1516 0.5531  4 Fe 1.98-2.14
36 O 0.6968 0.8484 0.0531  4 Fe 1.98-2.14
37 O 0.6667 0.3333 0.4451  4 Fe 1.95-2.16
38 O 0.3577 0.1789 0.7504  1 Fe 1.86
39 O 0.8484 0.6968 0.5531  4 Fe 1.98-2.14
40 O 0.5025 0.4975 0.1515  3 Fe 1.96-1.99
41 O 0.3169 0.1585 0.9469  4 Fe 1.91-2.13
42 O 0.5099 0.4901 0.3483  3 Fe 1.97-2.06
43 O 0.1789 0.8211 0.2504  1 Fe 1.86
44 O 0.1516 0.8484 0.0531  4 Fe 1.98-2.14
45 O 0.0051 0.5025 0.6515  3 Fe 1.96-1.99
46 O 0.0000 0.0000 0.3478  3 Fe 2.00
47 O 0.5025 0.0051 0.1515  3 Fe 1.96-1.99
48 O 0.5099 0.0197 0.3483  3 Fe 1.97-2.06
49 O 0.4901 0.5099 0.8483  3 Fe 1.97-2.06
50 O 0.9803 0.4901 0.3483  3 Fe 1.97-2.06
51 O 0.1516 0.3032 0.0531  4 Fe 1.98-2.14
52 O 0.1585 0.8415 0.4469  4 Fe 1.91-2.13
53 O 0.6423 0.8211 0.2504  1 Fe 1.86
54 O 0.1789 0.3577 0.2504  1 Fe 1.86
55 O 0.3333 0.6667 0.5554  4 Fe 1.95-2.11
56 O 0.6667 0.3333 0.0554  4 Fe 1.95-2.11
57 O 0.0000 0.0000 0.1521  3 Fe 2.04
58 O 0.8211 0.6423 0.7504  1 Fe 1.86
59 O 0.0000 0.0000 0.6521  3 Fe 2.04
60 O 0.8415 0.6831 0.9469  4 Fe 1.91-2.13
61 O 0.4975 0.9949 0.6515  3 Fe 1.96-1.99
62 O 0.3333 0.6667 0.9451  4 Fe 1.95-2.16
63 Sr 0.6667 0.3333 0.2494  12 O 2.83-3.01
64 Sr 0.3333 0.6667 0.7494  12 O 2.83-3.01

No. 3
DFT (PBE+U) results for a relaxed Sr4Fe4O11 crystal.

Results
Polymorph energy (0 for the lowest one) ... 13 meV/atom
Total DFT energy (no corrections) ... -6.41 eV per atom
Corrected total energy (MP2020 scheme) ... -276.89 eV per cell
Crystal system ... orthorhombic
Space group ... No. 58

a = 5.5935 Å, b = 7.8602 Å, c = 11.1361 Å
α = 90.00°, β = 90.00°, γ = 90.00°
Closest atoms and distances in Å follow each position.
Fractional positions:
1 O 0.5000 0.5000 0.0000  2 Fe 1.94
2 O 0.5014 0.5000 0.2446  2 Fe 1.88-1.94
3 O 0.2698 0.2383 0.8871  2 Fe 1.90-2.06
4 O 0.5000 0.0000 0.5000  2 Fe 1.96
5 O 0.0000 0.0000 0.5000  2 Fe 1.94
6 O 0.4876 0.0000 0.2427  2 Fe 1.99-2.02
7 O 0.2698 0.7617 0.8871  2 Fe 1.90-2.06
8 O 0.0014 0.0000 0.2554  2 Fe 1.88-1.94
9 O 0.7698 0.7383 0.6129  2 Fe 1.90-2.06
10 O 0.2302 0.7383 0.3871  2 Fe 1.90-2.06
11 O 0.5000 0.5000 0.5000  2 Fe 1.97
12 O 0.0000 0.0000 0.0000  2 Fe 1.97
13 O 0.0124 0.5000 0.7427  2 Fe 1.99-2.02
14 O 0.4986 0.5000 0.7554  2 Fe 1.88-1.94
15 O 0.9876 0.5000 0.2573  2 Fe 1.99-2.02
16 O 0.7302 0.7617 0.1129  2 Fe 1.90-2.06
17 O 0.7302 0.2383 0.1129  2 Fe 1.90-2.06
18 O 0.9986 0.0000 0.7446  2 Fe 1.88-1.94
19 O 0.0000 0.5000 0.0000  2 Fe 1.96
20 O 0.5124 0.0000 0.7573  2 Fe 1.99-2.02
21 O 0.2302 0.2617 0.3871  2 Fe 1.90-2.06
22 O 0.7698 0.2617 0.6129  2 Fe 1.90-2.06
23 Fe 0.7698 0.0000 0.1335  5 O 1.88-1.99
24 Fe 0.7475 0.5000 0.1220  6 O 1.94-2.06
25 Fe 0.2525 0.5000 0.8780  6 O 1.94-2.06
26 Fe 0.7525 0.0000 0.6220  6 O 1.94-2.06
27 Fe 0.2475 0.0000 0.3780  6 O 1.94-2.06
28 Fe 0.2698 0.5000 0.3665  5 O 1.88-1.99
29 Fe 0.7302 0.5000 0.6335  5 O 1.88-1.99
30 Fe 0.2302 0.0000 0.8665  5 O 1.88-1.99
31 Sr 0.2579 0.7584 0.6278  11 O 2.69-2.89
32 Sr 0.7421 0.7584 0.3722  11 O 2.69-2.89
33 Sr 0.7579 0.2584 0.8722  11 O 2.69-2.89
34 Sr 0.2579 0.2416 0.6278  11 O 2.69-2.89
35 Sr 0.2421 0.7416 0.1278  11 O 2.69-2.89
36 Sr 0.7421 0.2416 0.3722  11 O 2.69-2.89
37 Sr 0.7579 0.7416 0.8722  11 O 2.69-2.89
38 Sr 0.2421 0.2584 0.1278  11 O 2.69-2.89

> Among the records above, which one has the lowest polymorph energy (0 for the lowest one)?

SrFe12O19